(1)
# Er5BiAu2

A relaxed structure of Er5BiAu2 (GGA-PBE, the Materials Project).

Summary:
- Total DFT energy (no corrections): -4.4638 eV per atom
- Calculated volume: 29.65 A^3/atom
- Energy of formation: -0.3042 eV/atom

Cell: 10.127 10.127 10.127 Å, 137.17 137.17 62.18°
Atoms (fractional coordinates):
Er 0.000 0.000 0.000
Er 0.000 0.500 0.172
Er 0.000 0.500 0.828
Er 0.172 0.000 0.500
Er 0.328 0.828 0.828
Er 0.500 0.328 0.500
Er 0.500 0.500 0.000
Er 0.500 0.672 0.500
Er 0.672 0.172 0.172
Er 0.828 0.000 0.500
Bi 0.250 0.250 0.000
Bi 0.750 0.750 0.000
Au 0.128 0.628 0.757
Au 0.372 0.128 0.500
Au 0.628 0.872 0.500
Au 0.872 0.372 0.243

***

(2)
# Er5BiAu2

A relaxed structure of Er5BiAu2 (GGA-PBE, the Materials Project).

Summary:
- Total DFT energy (no corrections): -4.8550 eV per atom
- Calculated volume: 26.63 A^3/atom
- Energy of formation: -0.6955 eV/atom

Cell: 8.663 8.663 8.663 Å, 124.29 124.29 82.72°
Atoms (fractional coordinates):
Er 0.000 0.000 0.000
Er 0.014 0.514 0.809
Er 0.205 0.014 0.500
Er 0.295 0.795 0.809
Er 0.486 0.295 0.500
Er 0.500 0.500 0.000
Er 0.514 0.705 0.500
Er 0.705 0.205 0.191
Er 0.795 0.986 0.500
Er 0.986 0.486 0.191
Bi 0.250 0.250 0.000
Bi 0.750 0.750 0.000
Au 0.139 0.361 0.500
Au 0.361 0.861 0.222
Au 0.639 0.139 0.778
Au 0.861 0.639 0.500

***

(3)
# EuBiAu2

A relaxed structure of EuBiAu2 (GGA-PBE, the Materials Project).

Summary:
- Total DFT energy (no corrections): -5.7380 eV per atom
- Calculated volume: 24.71 A^3/atom
- Energy of formation: -0.5643 eV/atom

Cell: 7.340 7.340 7.340 Å, 90.00 90.00 90.00°
Atoms (fractional coordinates):
Eu 0.000 0.000 0.000
Eu 0.000 0.500 0.500
Eu 0.500 0.000 0.500
Eu 0.500 0.500 0.000
Bi 0.000 0.000 0.500
Bi 0.000 0.500 0.000
Bi 0.500 0.000 0.000
Bi 0.500 0.500 0.500
Au 0.250 0.250 0.250
Au 0.250 0.250 0.750
Au 0.250 0.750 0.250
Au 0.250 0.750 0.750
Au 0.750 0.250 0.250
Au 0.750 0.250 0.750
Au 0.750 0.750 0.250
Au 0.750 0.750 0.750

***

(4)
# EuBiAu

A relaxed structure of EuBiAu (GGA-PBE, the Materials Project).

Summary:
- Total DFT energy (no corrections): -6.5314 eV per atom
- Calculated volume: 28.15 A^3/atom
- Energy of formation: -0.7244 eV/atom

Cell: 4.915 4.915 8.073 Å, 90.00 90.00 120.00°
Atoms (fractional coordinates):
Eu 0.000 0.000 0.000
Eu 0.000 0.000 0.500
Bi 0.333 0.667 0.224
Bi 0.667 0.333 0.724
Au 0.333 0.667 0.816
Au 0.667 0.333 0.316

***

(5)
# Bi2Au5F21

A relaxed structure of Bi2Au5F21 (GGA-PBE, the Materials Project).

Summary:
- Total DFT energy (no corrections): -3.7028 eV per atom
- Calculated volume: 16.52 A^3/atom
- Energy of formation: -1.7508 eV/atom

Cell: 8.410 8.410 26.157 Å, 90.00 90.00 90.00°
Atoms (fractional coordinates):
Bi 0.057 0.429 0.498
Bi 0.071 0.557 0.748
Bi 0.429 0.057 0.502
Bi 0.443 0.929 0.752
Bi 0.557 0.071 0.252
Bi 0.571 0.943 0.002
Bi 0.929 0.443 0.248
Bi 0.943 0.571 0.998
Au 0.058 0.058 0.000
Au 0.089 0.145 0.843
Au 0.145 0.089 0.157
Au 0.179 0.208 0.639
Au 0.208 0.179 0.361
Au 0.292 0.679 0.889
Au 0.321 0.708 0.611
Au 0.355 0.589 0.093
Au 0.411 0.645 0.407
Au 0.442 0.558 0.250
Au 0.558 0.442 0.750
Au 0.589 0.355 0.907
Au 0.645 0.411 0.593
Au 0.679 0.292 0.111
Au 0.708 0.321 0.389
Au 0.792 0.821 0.861
Au 0.821 0.792 0.139
Au 0.855 0.911 0.657
Au 0.911 0.855 0.343
Au 0.942 0.942 0.500
F 0.027 0.866 0.609
F 0.032 0.316 0.795
F 0.045 0.322 0.689
F 0.059 0.291 0.998
F 0.064 0.822 0.999
F 0.067 0.322 0.584
F 0.085 0.307 0.411
F 0.087 0.275 0.200
F 0.090 0.277 0.304
F 0.093 0.802 0.385
F 0.134 0.973 0.891
F 0.178 0.545 0.939
F 0.178 0.567 0.834
F 0.178 0.936 0.501
F 0.184 0.532 0.045
F 0.193 0.585 0.661
F 0.198 0.907 0.115
F 0.209 0.559 0.248
F 0.220 0.780 0.750
F 0.223 0.590 0.554
F 0.225 0.587 0.450
F 0.275 0.087 0.800
F 0.277 0.090 0.696
F 0.280 0.280 0.500
F 0.291 0.059 0.002
F 0.302 0.407 0.135
F 0.307 0.085 0.589
F 0.316 0.032 0.205
F 0.322 0.045 0.311
F 0.322 0.067 0.416
F 0.322 0.436 0.749
F 0.366 0.473 0.359
F 0.407 0.302 0.865
F 0.410 0.777 0.946
F 0.413 0.775 0.050
F 0.415 0.807 0.839
F 0.433 0.822 0.666
F 0.436 0.322 0.251
F 0.441 0.791 0.252
F 0.455 0.822 0.561
F 0.468 0.816 0.455
F 0.473 0.366 0.641
F 0.527 0.634 0.141
F 0.532 0.184 0.955
F 0.545 0.178 0.061
F 0.559 0.209 0.752
F 0.564 0.678 0.751
F 0.567 0.178 0.166
F 0.585 0.193 0.339
F 0.587 0.225 0.550
F 0.590 0.223 0.446
F 0.593 0.698 0.365
F 0.634 0.527 0.859
F 0.678 0.564 0.249
F 0.678 0.933 0.916
F 0.678 0.955 0.811
F 0.684 0.968 0.705
F 0.693 0.915 0.089
F 0.698 0.593 0.635
F 0.709 0.941 0.502
F 0.720 0.720 0.000
F 0.723 0.910 0.196
F 0.725 0.913 0.300
F 0.775 0.413 0.950
F 0.777 0.410 0.054
F 0.780 0.220 0.250
F 0.791 0.441 0.748
F 0.802 0.093 0.615
F 0.807 0.415 0.161
F 0.816 0.468 0.545
F 0.822 0.064 0.001
F 0.822 0.433 0.334
F 0.822 0.455 0.439
F 0.866 0.027 0.391
F 0.907 0.198 0.885
F 0.910 0.723 0.804
F 0.913 0.725 0.700
F 0.915 0.693 0.911
F 0.933 0.678 0.084
F 0.936 0.178 0.499
F 0.941 0.709 0.498
F 0.955 0.678 0.189
F 0.968 0.684 0.295
F 0.973 0.134 0.109

***

(6)
# K2BiAuF6

A relaxed structure of K2BiAuF6 (GGA-PBE, the Materials Project).

Summary:
- Total DFT energy (no corrections): -4.1396 eV per atom
- Calculated volume: 21.14 A^3/atom
- Energy of formation: -2.3295 eV/atom

Cell: 6.687 6.687 6.687 Å, 60.00 60.00 60.00°
Atoms (fractional coordinates):
K 0.250 0.250 0.250
K 0.750 0.750 0.750
Bi 0.000 0.000 0.000
Au 0.500 0.500 0.500
F 0.239 0.239 0.761
F 0.239 0.761 0.239
F 0.239 0.761 0.761
F 0.761 0.239 0.239
F 0.761 0.239 0.761
F 0.761 0.761 0.239

***

(7)
# Rb2BiAuF6

A relaxed structure of Rb2BiAuF6 (GGA-PBE, the Materials Project).

Summary:
- Total DFT energy (no corrections): -4.1467 eV per atom
- Calculated volume: 21.43 A^3/atom
- Energy of formation: -2.3627 eV/atom

Cell: 6.717 6.717 6.717 Å, 60.00 60.00 60.00°
Atoms (fractional coordinates):
Rb 0.250 0.250 0.250
Rb 0.750 0.750 0.750
Bi 0.000 0.000 0.000
Au 0.500 0.500 0.500
F 0.238 0.238 0.762
F 0.238 0.762 0.238
F 0.238 0.762 0.762
F 0.762 0.238 0.238
F 0.762 0.238 0.762
F 0.762 0.762 0.238

***

(8)
# La3Bi4Au3

A relaxed structure of La3Bi4Au3 (GGA-PBE, the Materials Project).

Summary:
- Total DFT energy (no corrections): -4.8408 eV per atom
- Calculated volume: 28.52 A^3/atom
- Energy of formation: -0.8218 eV/atom

Cell: 9.048 9.048 9.048 Å, 109.47 109.47 109.47°
Atoms (fractional coordinates):
La 0.125 0.875 0.250
La 0.250 0.125 0.875
La 0.375 0.625 0.750
La 0.625 0.750 0.375
La 0.750 0.375 0.625
La 0.875 0.250 0.125
Bi 0.000 0.174 0.500
Bi 0.000 0.674 0.500
Bi 0.174 0.500 0.000
Bi 0.326 0.326 0.326
Bi 0.500 0.000 0.174
Bi 0.500 0.000 0.674
Bi 0.674 0.500 0.000
Bi 0.826 0.826 0.826
Au 0.125 0.750 0.875
Au 0.250 0.625 0.375
Au 0.375 0.250 0.625
Au 0.625 0.375 0.250
Au 0.750 0.875 0.125
Au 0.875 0.125 0.750